# Dy5Ge3C

A relaxed structure of Dy5Ge3C (r2SCAN, Materials Project).

Calculated values
Magnetization ... 0.5 μB per cell
E_form ... -869 meV/atom

Unit cell a=8.4602 b=8.4602 c=6.4739 alpha=90.00 beta=90.00 gamma=120.00
Last column: nearest neighbours and their distance in Å.
Space group P6_3/mcm (No. 193)
Unique sites:
Dy1 0.0000 0.2203 0.2500 (multiplicity 6)  2 C 2.47
Dy2 0.3333 0.6667 0.0000 (multiplicity 4)  6 Ge 3.03, 2 Dy 3.24
Ge1 0.0000 0.4095 0.7500 (multiplicity 6)  7 Dy 3.00-3.13
C1 0.0000 0.0000 0.0000 (multiplicity 2)  6 Dy 2.47

=====

# Dy3InC

A relaxed structure of Dy3InC (r2SCAN, Materials Project).

Calculated values
Magnetization ... 0.0 μB per cell
E_form ... -684 meV/atom

Unit cell a=4.9032 b=4.9032 c=4.9032 alpha=90.00 beta=90.00 gamma=90.00
Last column: nearest neighbours and their distance in Å.
Space group Pm-3m (No. 221)
Unique sites:
Dy1 0.0000 0.0000 0.5000 (multiplicity 3)  2 C 2.45
In1 0.5000 0.5000 0.5000 (multiplicity 1)  12 Dy 3.47
C1 0.0000 0.0000 0.0000 (multiplicity 1)  6 Dy 2.45

=====

# Dy2Mo2C3

A relaxed structure of Dy2Mo2C3 (r2SCAN, Materials Project).

Calculated values
Magnetization ... 0.0 μB per cell
E_form ... -470 meV/atom

Unit cell a=11.7378 b=3.3364 c=5.7121 alpha=90.00 beta=112.59 gamma=90.00
Last column: nearest neighbours and their distance in Å.
Space group C2/m (No. 12)
Unique sites:
Dy1 0.1099 0.0000 0.3234 (multiplicity 4)  5 C 2.44-2.54
Mo1 0.1571 0.5000 0.8255 (multiplicity 4)  4 C 2.06-2.16
C1 0.0000 0.5000 0.5000 (multiplicity 2)  2 Mo 2.06
C2 0.2491 0.5000 0.2330 (multiplicity 4)  3 Mo 2.09-2.16

=====

# Dy2CO5

A relaxed structure of Dy2CO5 (r2SCAN, Materials Project).

Calculated values
Magnetization ... 0.0 μB per cell
E_form ... -3082 meV/atom
E above lowest polymorph ... 0.02 eV/f.u.

Unit cell a=15.0929 b=6.5724 c=3.8845 alpha=90.00 beta=90.00 gamma=90.00
Last column: nearest neighbours and their distance in Å.
Space group Ama2 (No. 40)
Unique sites:
Dy1 0.0932 0.1672 0.0000 (multiplicity 8)  7 O 2.27-2.50
C1 0.2500 0.0363 0.3852 (multiplicity 4)  3 O 1.27-1.29
O1 0.0574 0.3319 0.5022 (multiplicity 8)  4 Dy 2.27-2.30
O2 0.1741 0.4930 0.0214 (multiplicity 8)  1 C 1.29
O3 0.2500 0.1279 0.0964 (multiplicity 4)  1 C 1.27

=====

# Dy2CO5

A relaxed structure of Dy2CO5 (r2SCAN, Materials Project).

Calculated values
Magnetization ... 0.0 μB per cell
E_form ... -3085 meV/atom
E above lowest polymorph ... 0.00 eV/f.u.

Unit cell a=3.7558 b=6.8079 c=15.0643 alpha=90.00 beta=90.00 gamma=90.00
Last column: nearest neighbours and their distance in Å.
Space group Cmcm (No. 63)
Unique sites:
Dy1 0.0000 0.1646 0.0932 (multiplicity 8)  7 O 2.27-2.46
C1 0.0000 0.4262 0.2500 (multiplicity 4)  3 O 1.27-1.29
O1 0.0000 0.1638 0.5575 (multiplicity 8)  4 Dy 2.27-2.30
O2 0.0000 0.2393 0.2500 (multiplicity 4)  1 C 1.27
O3 0.0000 0.4852 0.6740 (multiplicity 8)  1 C 1.29

=====

# Dy2OsC2

A relaxed structure of Dy2OsC2 (r2SCAN, Materials Project).

Calculated values
Magnetization ... 0.0 μB per cell
E_form ... -526 meV/atom

Unit cell a=6.4250 b=5.1206 c=9.7683 alpha=90.00 beta=90.00 gamma=90.00
Last column: nearest neighbours and their distance in Å.
Space group Pnma (No. 62)
Unique sites:
Dy1 0.0260 0.2500 0.2190 (multiplicity 4)  4 C 2.51-2.59
Dy2 0.1840 0.2500 0.5519 (multiplicity 4)  5 C 2.47-2.58
Os1 0.2254 0.2500 0.8643 (multiplicity 4)  3 C 1.93-1.99
C1 0.0380 0.7500 0.2422 (multiplicity 4)  2 Os 1.93-1.99
C2 0.1765 0.7500 0.5519 (multiplicity 4)  1 Os 1.94

=====

# Dy3PbC

A relaxed structure of Dy3PbC (r2SCAN, Materials Project).

Calculated values
Magnetization ... 0.0 μB per cell
E_form ... -715 meV/atom

Unit cell a=4.8930 b=4.8930 c=4.8930 alpha=90.00 beta=90.00 gamma=90.00
Last column: nearest neighbours and their distance in Å.
Space group Pm-3m (No. 221)
Unique sites:
Dy1 0.0000 0.0000 0.5000 (multiplicity 3)  2 C 2.45
Pb1 0.5000 0.5000 0.5000 (multiplicity 1)  12 Dy 3.46
C1 0.0000 0.0000 0.0000 (multiplicity 1)  6 Dy 2.45

=====

# DyRh3C

A relaxed structure of DyRh3C (r2SCAN, Materials Project).

Calculated values
Magnetization ... 0.0 μB per cell
E_form ... -576 meV/atom

Unit cell a=4.1478 b=4.1478 c=4.1478 alpha=90.00 beta=90.00 gamma=90.00
Last column: nearest neighbours and their distance in Å.
Space group Pm-3m (No. 221)
Unique sites:
Dy1 0.0000 0.0000 0.0000 (multiplicity 1)  12 Rh 2.93
Rh1 0.0000 0.5000 0.5000 (multiplicity 3)  2 C 2.07
C1 0.5000 0.5000 0.5000 (multiplicity 1)  6 Rh 2.07

=====

# Dy3SnC

A relaxed structure of Dy3SnC (r2SCAN, Materials Project).

Calculated values
Magnetization ... 0.0 μB per cell
E_form ... -781 meV/atom

Unit cell a=4.8707 b=4.8707 c=4.8707 alpha=90.00 beta=90.00 gamma=90.00
Last column: nearest neighbours and their distance in Å.
Space group Pm-3m (No. 221)
Unique sites:
Dy1 0.0000 0.0000 0.5000 (multiplicity 3)  2 C 2.44
Sn1 0.5000 0.5000 0.5000 (multiplicity 1)  12 Dy 3.44
C1 0.0000 0.0000 0.0000 (multiplicity 1)  6 Dy 2.44

=====

# Er4C7

A relaxed structure of Er4C7 (r2SCAN, Materials Project).

Calculated values
Magnetization ... 0.0 μB per cell
E_form ... -481 meV/atom

Unit cell a=3.6509 b=13.5779 c=6.3701 alpha=90.00 beta=104.89 gamma=90.00
Last column: nearest neighbours and their distance in Å.
Space group P2_1/c (No. 14)
Unique sites:
Er1 0.0551 0.1619 0.1603 (multiplicity 4)  7 C 2.40-2.62
Er2 0.3663 0.0550 0.7401 (multiplicity 4)  6 C 2.45-2.65
C1 0.0000 0.0000 0.0000 (multiplicity 2)  6 Er 2.41-2.58
C2 0.2666 0.6040 0.0498 (multiplicity 4)  1 C 1.33
C3 0.3789 0.6968 0.0460 (multiplicity 4)  2 C 1.32-1.33
C4 0.4659 0.2150 0.9241 (multiplicity 4)  1 C 1.32

=====

# Er2C

A relaxed structure of Er2C (r2SCAN, Materials Project).

Calculated values
Magnetization ... 0.9 μB per cell
E_form ... -476 meV/atom

Unit cell a=3.5514 b=3.5514 c=17.9780 alpha=90.00 beta=90.00 gamma=120.00
Last column: nearest neighbours and their distance in Å.
Space group R-3m (No. 166, hexagonal axes)
Unique sites:
Er1 0.0000 0.0000 0.2400 (multiplicity 6)  3 C 2.44
C1 0.0000 0.0000 0.5000 (multiplicity 3)  6 Er 2.44

=====

# Er5Ge3C

A relaxed structure of Er5Ge3C (r2SCAN, Materials Project).

Calculated values
Magnetization ... 0.0 μB per cell
E_form ... -874 meV/atom

Unit cell a=8.3656 b=8.3656 c=6.3901 alpha=90.00 beta=90.00 gamma=120.00
Last column: nearest neighbours and their distance in Å.
Space group P6_3/mcm (No. 193)
Unique sites:
Er1 0.0000 0.2199 0.2500 (multiplicity 6)  2 C 2.44
Er2 0.3333 0.6667 0.0000 (multiplicity 4)  6 Ge 2.99, 2 Er 3.20
Ge1 0.0000 0.4086 0.7500 (multiplicity 6)  7 Er 2.96-3.11
C1 0.0000 0.0000 0.0000 (multiplicity 2)  6 Er 2.44